Entry 1:
## CoO2 (PBE with a Hubbard U)

Data for a relaxed structure of CoO2.

Geometry as POSCAR:
```
CoO2
1.0
1.750 0.875 2.029
-3.936 9.524 -2.671
-3.707 -0.160 3.266
Co O
4 8
direct
0.250 0.500 0.250
0.500 0.000 0.500
0.000 0.000 0.000
0.750 0.500 0.750
0.295 0.589 0.901
0.045 0.089 0.651
0.795 0.589 0.401
0.545 0.089 0.151
0.455 0.911 0.849
0.205 0.411 0.599
0.955 0.911 0.349
0.705 0.411 0.099
```

=====

Entry 2:
## CoO2 (PBE with a Hubbard U)

Data for a relaxed structure of CoO2.

Geometry as POSCAR:
```
CoO2
1.0
10.290 0.000 0.000
-0.933 10.412 0.000
-0.012 -0.690 10.721
Co O
30 60
direct
0.000 0.000 0.000
0.001 0.666 0.030
0.013 0.512 0.806
0.016 0.214 0.281
0.079 0.588 0.281
0.081 0.013 0.445
0.115 0.896 0.657
0.118 0.440 0.528
0.246 0.731 0.807
0.254 0.193 0.102
0.299 0.407 0.293
0.318 0.648 0.519
0.326 0.642 0.159
0.363 0.190 0.438
0.366 0.059 0.651
0.498 0.391 0.042
0.528 0.326 0.718
0.569 0.970 0.194
0.597 0.477 0.515
0.638 0.128 0.583
0.718 0.503 0.920
0.744 0.570 0.235
0.752 0.829 0.353
0.756 0.315 0.362
0.788 0.823 0.044
0.824 0.911 0.736
0.869 0.369 0.652
0.927 0.679 0.536
0.944 0.165 0.786
0.974 0.382 0.102
0.000 0.276 0.545
0.008 0.340 0.758
0.015 0.492 0.402
0.019 0.474 0.972
0.050 0.847 0.494
0.073 0.055 0.290
0.081 0.680 0.858
0.130 0.315 0.178
0.144 0.675 0.150
0.161 0.046 0.060
0.231 0.344 0.433
0.234 0.097 0.539
0.237 0.771 0.634
0.242 0.989 0.773
0.244 0.513 0.621
0.250 0.577 0.335
0.294 0.578 0.962
0.296 0.905 0.852
0.354 0.240 0.271
0.365 0.273 0.998
0.399 0.788 0.053
0.401 0.473 0.170
0.403 0.795 0.419
0.407 0.572 0.897
0.408 0.910 0.083
0.412 0.655 0.803
0.452 0.761 0.314
0.458 0.026 0.287
0.463 0.055 0.514
0.478 0.573 0.484
0.489 0.304 0.550
0.517 0.143 0.729
0.543 0.843 0.708
0.582 0.487 0.685
0.585 0.371 0.885
0.593 0.245 0.158
0.598 0.138 0.099
0.633 0.869 0.787
0.647 0.899 0.052
0.652 0.496 0.078
0.654 0.460 0.335
0.684 0.864 0.511
0.691 0.172 0.423
0.723 0.971 0.289
0.734 0.741 0.196
0.743 0.972 0.578
0.762 0.410 0.525
0.791 0.214 0.691
0.820 0.483 0.784
0.821 0.685 0.397
0.824 0.654 0.967
0.855 0.925 0.911
0.873 0.292 0.224
0.899 0.764 0.679
0.926 0.552 0.185
0.969 0.848 0.084
0.971 0.180 0.452
0.977 0.162 0.950
0.993 0.525 0.626
0.994 0.019 0.697
```

total magnetic moment = 0.8444 μB per atom

=====

Entry 3:
## CoO2 (PBE with a Hubbard U)

Data for a relaxed structure of CoO2.

Geometry as POSCAR:
```
CoO2
1.0
10.554 0.000 0.000
0.554 10.598 0.000
0.534 0.515 10.876
Co O
30 60
direct
0.000 0.000 0.000
0.002 0.119 0.605
0.029 0.126 0.327
0.048 0.274 0.072
0.094 0.292 0.824
0.106 0.724 0.772
0.123 0.553 0.520
0.254 0.510 0.972
0.258 0.779 0.031
0.260 0.232 0.516
0.277 0.974 0.838
0.355 0.831 0.597
0.357 0.551 0.710
0.364 0.505 0.428
0.429 0.853 0.279
0.479 0.592 0.168
0.527 0.775 0.818
0.540 0.127 0.383
0.555 0.224 0.103
0.574 0.399 0.863
0.616 0.567 0.600
0.719 0.674 0.323
0.737 0.229 0.740
0.789 0.321 0.448
0.798 0.465 0.131
0.799 0.751 0.006
0.834 0.499 0.832
0.837 0.937 0.771
0.862 0.910 0.253
0.865 0.718 0.607
0.001 0.685 0.514
0.006 0.426 0.537
0.012 0.166 0.943
0.096 0.139 0.174
0.110 0.386 0.204
0.121 0.142 0.468
0.144 0.496 0.169
0.148 0.370 0.960
0.155 0.924 0.967
0.161 0.195 0.684
0.169 0.680 0.936
0.192 0.586 0.680
0.223 0.864 0.710
0.228 0.162 0.794
0.236 0.400 0.495
0.249 0.629 0.417
0.298 0.172 0.041
0.305 0.846 0.161
0.345 0.071 0.005
0.345 0.619 0.075
0.380 0.876 0.443
0.384 0.844 0.905
0.401 0.476 0.852
0.412 0.157 0.497
0.423 0.030 0.738
0.457 0.499 0.569
0.459 0.471 0.301
0.466 0.699 0.681
0.481 0.133 0.231
0.486 0.937 0.685
0.502 0.273 0.959
0.553 0.715 0.248
0.570 0.480 0.048
0.572 0.302 0.736
0.600 0.957 0.070
0.615 0.956 0.367
0.636 0.384 0.122
0.648 0.059 0.041
0.654 0.782 0.909
0.658 0.535 0.774
0.670 0.215 0.391
0.683 0.412 0.533
0.725 0.667 0.508
0.726 0.059 0.790
0.737 0.925 0.387
0.741 0.335 0.876
0.770 0.853 0.654
0.777 0.505 0.284
0.809 0.773 0.186
0.830 0.570 0.993
0.847 0.216 0.606
0.877 0.014 0.125
0.891 0.321 0.104
0.898 0.884 0.922
0.902 0.459 0.482
0.910 0.249 0.354
0.924 0.667 0.752
0.970 0.407 0.780
0.982 0.974 0.703
0.984 0.959 0.338
```

total magnetic moment = 0.9778 μB per atom

=====

Entry 4:
## CoO2 (PBE with a Hubbard U)

Data for a relaxed structure of CoO2.

Geometry as POSCAR:
```
CoO2
1.0
-2.860 2.902 3.751
2.860 -2.902 3.751
2.860 2.902 -3.751
Co O
4 8
direct
0.000 0.000 0.500
0.000 0.500 0.000
0.387 0.137 0.250
0.613 0.863 0.750
0.210 0.747 0.463
0.216 0.253 0.963
0.245 0.234 0.489
0.245 0.755 0.011
0.755 0.245 0.989
0.755 0.766 0.511
0.784 0.747 0.037
0.790 0.253 0.537
```

total magnetic moment = 0.8332 μB per atom

=====

E_tot (eV per atom)
-5.738 -5.471 -5.461 -5.491